The following is a PBE-GGA calculation of a relaxed ErTiFe11 crystal, from Materials Project.

The structure in CIF format:
```
data_ErTiFe11
_space_group_name_H-M_alt 'P 1'
_space_group_IT_number 1
_space_group_name_Hall 'P 1'
_cell_length_a 6.442
_cell_length_b 6.442
_cell_length_c 6.442
_cell_angle_alpha 137.18
_cell_angle_beta 97.55
_cell_angle_gamma 97.77
loop_
_atom_site_label
_atom_site_fract_x
_atom_site_fract_y
_atom_site_fract_z
Er1 0.000 0.000 0.000
Ti1 0.374 0.374 0.000
Fe1 0.003 0.004 0.498
Fe2 0.003 0.505 0.000
Fe3 0.228 0.506 0.722
Fe4 0.228 0.728 0.500
Fe5 0.361 0.005 0.356
Fe6 0.506 0.004 0.000
Fe7 0.506 0.505 0.502
Fe8 0.649 0.005 0.644
Fe9 0.653 0.653 0.000
Fe10 0.777 0.277 0.500
Fe11 0.785 0.506 0.278
```

Properties
Formation enthalpy at 0 K (kJ/mol of formula units): -103
E (eV per atom): -8.2075
Magnetization (μB/cell): 21.42

The following is a PBE-GGA calculation of a relaxed La2Ga10Ni crystal, from Materials Project.

The structure in CIF format:
```
data_La2Ga10Ni
_space_group_name_H-M_alt 'P 1'
_space_group_IT_number 1
_space_group_name_Hall 'P 1'
_cell_length_a 13.513
_cell_length_b 13.513
_cell_length_c 13.513
_cell_angle_alpha 161.29
_cell_angle_beta 161.29
_cell_angle_gamma 26.58
loop_
_atom_site_label
_atom_site_fract_x
_atom_site_fract_y
_atom_site_fract_z
La1 0.145 0.145 0.000
La2 0.855 0.855 0.000
Ga1 0.050 0.550 0.500
Ga2 0.250 0.750 0.500
Ga3 0.303 0.303 0.000
Ga4 0.396 0.396 0.000
Ga5 0.450 0.950 0.500
Ga6 0.550 0.050 0.500
Ga7 0.604 0.604 0.000
Ga8 0.697 0.697 0.000
Ga9 0.750 0.250 0.500
Ga10 0.950 0.450 0.500
Ni1 0.000 0.000 0.000
```

Properties
Formation enthalpy at 0 K (kJ/mol of formula units): -618
E (eV per atom): -4.0257
Magnetization (μB/cell): 0.00

The following is a PBE-GGA calculation of a relaxed Rb5TaTl2As4 crystal, from Materials Project.

The structure in CIF format:
```
data_Rb5TaTl2As4
_space_group_name_H-M_alt 'P 1'
_space_group_IT_number 1
_space_group_name_Hall 'P 1'
_cell_length_a 19.488
_cell_length_b 11.258
_cell_length_c 8.020
_cell_angle_alpha 90.00
_cell_angle_beta 90.00
_cell_angle_gamma 90.00
loop_
_atom_site_label
_atom_site_fract_x
_atom_site_fract_y
_atom_site_fract_z
Rb1 0.022 0.250 0.107
Rb2 0.078 0.025 0.693
Rb3 0.078 0.475 0.693
Rb4 0.249 0.555 0.480
Rb5 0.249 0.945 0.480
Rb6 0.251 0.055 0.980
Rb7 0.251 0.445 0.980
Rb8 0.422 0.525 0.193
Rb9 0.422 0.975 0.193
Rb10 0.478 0.750 0.607
Rb11 0.522 0.250 0.393
Rb12 0.578 0.025 0.807
Rb13 0.578 0.475 0.807
Rb14 0.749 0.555 0.020
Rb15 0.749 0.945 0.020
Rb16 0.751 0.055 0.520
Rb17 0.751 0.445 0.520
Rb18 0.922 0.525 0.307
Rb19 0.922 0.975 0.307
Rb20 0.978 0.750 0.893
Ta1 0.163 0.750 0.083
Ta2 0.337 0.250 0.583
Ta3 0.663 0.750 0.417
Ta4 0.837 0.250 0.917
Tl1 0.054 0.750 0.418
Tl2 0.187 0.250 0.326
Tl3 0.313 0.750 0.826
Tl4 0.446 0.250 0.918
Tl5 0.554 0.750 0.082
Tl6 0.687 0.250 0.174
Tl7 0.813 0.750 0.674
Tl8 0.946 0.250 0.582
As1 0.103 0.570 0.196
As2 0.103 0.930 0.196
As3 0.164 0.750 0.771
As4 0.211 0.250 0.668
As5 0.289 0.750 0.168
As6 0.336 0.250 0.271
As7 0.397 0.070 0.696
As8 0.397 0.430 0.696
As9 0.603 0.570 0.304
As10 0.603 0.930 0.304
As11 0.664 0.750 0.729
As12 0.711 0.250 0.832
As13 0.789 0.750 0.332
As14 0.836 0.250 0.229
As15 0.897 0.070 0.804
As16 0.897 0.430 0.804
```

Properties
Formation enthalpy at 0 K (kJ/mol of formula units): -501
E (eV per atom): -3.7761

The following is a PBE-GGA calculation of a relaxed SnO2 crystal, from Materials Project.

The structure in CIF format:
```
data_SnO2
_space_group_name_H-M_alt 'P 1'
_space_group_IT_number 1
_space_group_name_Hall 'P 1'
_cell_length_a 3.231
_cell_length_b 3.231
_cell_length_c 10.791
_cell_angle_alpha 90.00
_cell_angle_beta 90.00
_cell_angle_gamma 120.00
loop_
_atom_site_label
_atom_site_fract_x
_atom_site_fract_y
_atom_site_fract_z
Sn1 0.000 0.000 0.000
Sn2 0.000 0.000 0.500
O1 0.333 0.667 0.094
O2 0.333 0.667 0.406
O3 0.667 0.333 0.594
O4 0.667 0.333 0.906
```

Properties
Formation enthalpy at 0 K (kJ/mol of formula units): -563
E (eV per atom): -6.1226
Magnetization (μB/cell): 0.00

The following is a PBE-GGA calculation of a relaxed Na6La3TaSi2P4O24 crystal, from Materials Project.

The structure in CIF format:
```
data_Na6La3TaSi2P4O24
_space_group_name_H-M_alt 'P 1'
_space_group_IT_number 1
_space_group_name_Hall 'P 1'
_cell_length_a 9.468
_cell_length_b 9.518
_cell_length_c 23.388
_cell_angle_alpha 90.12
_cell_angle_beta 90.26
_cell_angle_gamma 119.59
loop_
_atom_site_label
_atom_site_fract_x
_atom_site_fract_y
_atom_site_fract_z
Na1 0.000 0.000 0.000
Na2 0.001 0.643 0.241
Na3 0.011 0.272 0.486
Na4 0.020 0.309 0.159
Na5 0.318 0.291 0.578
Na6 0.331 0.299 0.080
Na7 0.348 0.950 0.825
Na8 0.349 0.659 0.327
Na9 0.625 0.630 0.487
Na10 0.635 0.271 0.995
Na11 0.654 0.984 0.407
Na12 0.655 0.968 0.917
Na13 0.671 0.617 0.165
Na14 0.674 0.323 0.658
Na15 0.702 0.670 0.817
Na16 0.953 0.293 0.821
Na17 0.957 0.945 0.324
Na18 0.997 0.641 0.739
La1 0.003 0.634 0.893
La2 0.012 0.652 0.597
La3 0.019 0.649 0.094
La4 0.336 0.314 0.927
La5 0.341 0.292 0.424
La6 0.657 0.959 0.560
La7 0.658 0.964 0.070
La8 0.663 0.977 0.260
La9 0.668 0.964 0.750
Ta1 0.332 0.293 0.234
Ta2 0.338 0.309 0.725
Ta3 0.999 0.635 0.385
Si1 0.042 0.315 0.331
Si2 0.317 0.988 0.329
Si3 0.631 0.303 0.826
Si4 0.635 0.594 0.330
Si5 0.657 0.647 0.664
Si6 0.988 0.982 0.165
P1 0.046 0.012 0.824
P2 0.293 0.642 0.487
P3 0.314 0.948 0.988
P4 0.329 0.596 0.821
P5 0.358 0.637 0.169
P6 0.362 0.989 0.669
P7 0.654 0.284 0.160
P8 0.701 0.644 0.994
P9 0.729 0.353 0.491
P10 0.986 0.276 0.663
P11 0.987 0.920 0.486
P12 0.988 0.317 0.995
O1 0.008 0.822 0.161
O2 0.009 0.447 0.658
O3 0.038 0.491 0.333
O4 0.046 0.849 0.819
O5 0.112 0.290 0.390
O6 0.113 0.094 0.882
O7 0.125 0.097 0.488
O8 0.134 0.285 0.997
O9 0.135 0.816 0.331
O10 0.156 0.287 0.672
O11 0.159 0.129 0.775
O12 0.165 0.153 0.177
O13 0.166 0.596 0.817
O14 0.178 0.594 0.162
O15 0.179 0.337 0.278
O16 0.192 0.845 0.662
O17 0.193 0.650 0.432
O18 0.201 0.637 0.540
O19 0.207 0.847 0.038
O20 0.238 0.864 0.931
O21 0.303 0.106 0.276
O22 0.307 0.487 0.487
O23 0.323 0.116 0.994
O24 0.327 0.481 0.771
O25 0.346 0.148 0.671
O26 0.346 0.525 0.877
O27 0.348 0.085 0.386
O28 0.356 0.470 0.174
O29 0.427 0.736 0.223
O30 0.433 0.973 0.725
O31 0.454 0.936 0.320
O32 0.465 0.793 0.485
O33 0.467 0.722 0.117
O34 0.474 0.768 0.817
O35 0.484 0.021 0.619
O36 0.485 0.464 0.671
O37 0.489 0.974 0.992
O38 0.497 0.294 0.175
O39 0.507 0.308 0.772
O40 0.526 0.462 0.277
O41 0.534 0.487 0.996
O42 0.534 0.537 0.388
O43 0.538 0.287 0.885
O44 0.563 0.344 0.489
O45 0.623 0.193 0.102
O46 0.633 0.738 0.608
O47 0.659 0.148 0.821
O48 0.674 0.777 0.318
O49 0.681 0.745 0.723
O50 0.690 0.801 0.996
O51 0.694 0.196 0.206
O52 0.723 0.188 0.485
O53 0.796 0.638 0.047
O54 0.797 0.653 0.939
O55 0.798 0.459 0.158
O56 0.800 0.600 0.660
O57 0.804 0.475 0.821
O58 0.806 0.430 0.548
O59 0.816 0.601 0.336
O60 0.820 0.918 0.483
O61 0.827 0.152 0.993
O62 0.844 0.466 0.440
O63 0.867 0.160 0.320
O64 0.868 0.953 0.218
O65 0.871 0.983 0.819
O66 0.882 0.204 0.717
O67 0.903 0.169 0.610
O68 0.913 0.023 0.107
O69 0.987 0.408 0.939
O70 0.990 0.816 0.433
O71 0.993 0.837 0.541
O72 0.994 0.413 0.048
```

Properties
Formation enthalpy at 0 K (kJ/mol of formula units): -11731
E (eV per atom): -7.2737
Magnetization (μB/cell): 0.00
Energy relative to the lowest polymorph listed for this composition (meV per atom): 0.0

The following is a PBE-GGA calculation of a relaxed Mn crystal, from Materials Project.

The structure in CIF format:
```
data_Mn
_space_group_name_H-M_alt 'P 1'
_space_group_IT_number 1
_space_group_name_Hall 'P 1'
_cell_length_a 6.028
_cell_length_b 6.028
_cell_length_c 6.028
_cell_angle_alpha 90.00
_cell_angle_beta 90.00
_cell_angle_gamma 90.00
loop_
_atom_site_label
_atom_site_fract_x
_atom_site_fract_y
_atom_site_fract_z
Mn1 0.053 0.053 0.053
Mn2 0.053 0.875 0.697
Mn3 0.125 0.197 0.447
Mn4 0.197 0.447 0.125
Mn5 0.197 0.803 0.303
Mn6 0.303 0.197 0.803
Mn7 0.303 0.553 0.625
Mn8 0.375 0.803 0.947
Mn9 0.447 0.125 0.197
Mn10 0.447 0.947 0.553
Mn11 0.553 0.447 0.947
Mn12 0.553 0.625 0.303
Mn13 0.625 0.303 0.553
Mn14 0.697 0.053 0.875
Mn15 0.697 0.697 0.697
Mn16 0.803 0.303 0.197
Mn17 0.803 0.947 0.375
Mn18 0.875 0.697 0.053
Mn19 0.947 0.375 0.803
Mn20 0.947 0.553 0.447
```

Properties
Formation enthalpy at 0 K (kJ/mol of formula units): 5
E (eV per atom): -9.1091
Energy relative to the lowest polymorph listed for this composition (meV per atom): 52.9

The following is a PBE-GGA calculation of a relaxed Re2P3Cl24 crystal, from Materials Project.

The structure in CIF format:
```
data_Re2P3Cl24
_space_group_name_H-M_alt 'P 1'
_space_group_IT_number 1
_space_group_name_Hall 'P 1'
_cell_length_a 15.983
_cell_length_b 15.983
_cell_length_c 13.610
_cell_angle_alpha 90.00
_cell_angle_beta 90.00
_cell_angle_gamma 90.00
loop_
_atom_site_label
_atom_site_fract_x
_atom_site_fract_y
_atom_site_fract_z
Re1 0.126 0.252 0.000
Re2 0.248 0.374 0.500
Re3 0.252 0.874 0.500
Re4 0.374 0.752 0.000
Re5 0.626 0.248 0.000
Re6 0.748 0.126 0.500
Re7 0.752 0.626 0.500
Re8 0.874 0.748 0.000
P1 0.000 0.000 0.250
P2 0.000 0.000 0.750
P3 0.123 0.623 0.250
P4 0.123 0.623 0.750
P5 0.377 0.123 0.250
P6 0.377 0.123 0.750
P7 0.500 0.500 0.250
P8 0.500 0.500 0.750
P9 0.623 0.877 0.250
P10 0.623 0.877 0.750
P11 0.877 0.377 0.250
P12 0.877 0.377 0.750
Cl1 0.001 0.172 0.000
Cl2 0.013 0.901 0.334
Cl3 0.013 0.901 0.666
Cl4 0.022 0.623 0.332
Cl5 0.022 0.623 0.668
Cl6 0.048 0.378 0.000
Cl7 0.099 0.013 0.166
Cl8 0.099 0.013 0.834
Cl9 0.122 0.452 0.500
Cl10 0.123 0.249 0.171
Cl11 0.123 0.249 0.829
Cl12 0.123 0.522 0.168
Cl13 0.123 0.522 0.832
Cl14 0.124 0.721 0.164
Cl15 0.124 0.721 0.836
Cl16 0.126 0.794 0.500
Cl17 0.168 0.251 0.500
Cl18 0.172 0.999 0.500
Cl19 0.206 0.126 0.000
Cl20 0.221 0.624 0.336
Cl21 0.221 0.624 0.664
Cl22 0.249 0.332 0.000
Cl23 0.249 0.877 0.329
Cl24 0.249 0.877 0.671
Cl25 0.251 0.377 0.329
Cl26 0.251 0.377 0.671
Cl27 0.251 0.832 0.000
Cl28 0.279 0.124 0.336
Cl29 0.279 0.124 0.664
Cl30 0.294 0.626 0.000
Cl31 0.328 0.499 0.500
Cl32 0.332 0.751 0.500
Cl33 0.374 0.294 0.500
Cl34 0.376 0.221 0.164
Cl35 0.376 0.221 0.836
Cl36 0.377 0.022 0.168
Cl37 0.377 0.022 0.832
Cl38 0.377 0.749 0.171
Cl39 0.377 0.749 0.829
Cl40 0.378 0.952 0.500
Cl41 0.401 0.513 0.166
Cl42 0.401 0.513 0.834
Cl43 0.452 0.878 0.000
Cl44 0.478 0.123 0.332
Cl45 0.478 0.123 0.668
Cl46 0.487 0.401 0.334
Cl47 0.487 0.401 0.666
Cl48 0.499 0.672 0.000
Cl49 0.501 0.328 0.000
Cl50 0.513 0.599 0.334
Cl51 0.513 0.599 0.666
Cl52 0.522 0.877 0.332
Cl53 0.522 0.877 0.668
Cl54 0.548 0.122 0.000
Cl55 0.599 0.487 0.166
Cl56 0.599 0.487 0.834
Cl57 0.622 0.048 0.500
Cl58 0.623 0.251 0.171
Cl59 0.623 0.251 0.829
Cl60 0.623 0.978 0.168
Cl61 0.623 0.978 0.832
Cl62 0.624 0.779 0.164
Cl63 0.624 0.779 0.836
Cl64 0.626 0.706 0.500
Cl65 0.668 0.249 0.500
Cl66 0.672 0.501 0.500
Cl67 0.706 0.374 0.000
Cl68 0.721 0.876 0.336
Cl69 0.721 0.876 0.664
Cl70 0.749 0.168 0.000
Cl71 0.749 0.623 0.329
Cl72 0.749 0.623 0.671
Cl73 0.751 0.123 0.329
Cl74 0.751 0.123 0.671
Cl75 0.751 0.668 0.000
Cl76 0.779 0.376 0.336
Cl77 0.779 0.376 0.664
Cl78 0.794 0.874 0.000
Cl79 0.828 0.001 0.500
Cl80 0.832 0.749 0.500
Cl81 0.874 0.206 0.500
Cl82 0.876 0.279 0.164
Cl83 0.876 0.279 0.836
Cl84 0.877 0.478 0.168
Cl85 0.877 0.478 0.832
Cl86 0.877 0.751 0.171
Cl87 0.877 0.751 0.829
Cl88 0.878 0.548 0.500
Cl89 0.901 0.987 0.166
Cl90 0.901 0.987 0.834
Cl91 0.952 0.622 0.000
Cl92 0.978 0.377 0.332
Cl93 0.978 0.377 0.668
Cl94 0.987 0.099 0.334
Cl95 0.987 0.099 0.666
Cl96 0.999 0.828 0.000
```

Properties
Formation enthalpy at 0 K (kJ/mol of formula units): -3174
E (eV per atom): -3.5741
Magnetization (μB/cell): 20.70

Which value of E does entry 3 give?
-3.7761 eV per atom

E of number 6 (Mn)?
-9.1091 eV per atom

Repeat the fourth record exactly.
The following is a PBE-GGA calculation of a relaxed SnO2 crystal, from Materials Project.

The structure in CIF format:
```
data_SnO2
_space_group_name_H-M_alt 'P 1'
_space_group_IT_number 1
_space_group_name_Hall 'P 1'
_cell_length_a 3.231
_cell_length_b 3.231
_cell_length_c 10.791
_cell_angle_alpha 90.00
_cell_angle_beta 90.00
_cell_angle_gamma 120.00
loop_
_atom_site_label
_atom_site_fract_x
_atom_site_fract_y
_atom_site_fract_z
Sn1 0.000 0.000 0.000
Sn2 0.000 0.000 0.500
O1 0.333 0.667 0.094
O2 0.333 0.667 0.406
O3 0.667 0.333 0.594
O4 0.667 0.333 0.906
```

Properties
Formation enthalpy at 0 K (kJ/mol of formula units): -563
E (eV per atom): -6.1226
Magnetization (μB/cell): 0.00

Which of these has the highest formation enthalpy at 0 K?
Mn